(1)
A relaxed Sr2GdSbO6 crystal, computed with PBE.

Summary:
Space-group type = Pn-3
Energy of formation from the pure elements = -3.052 eV/atom
Density = 6.1 Mg/m³
Total magnetic moment = 28.000 μB/cell
Energy with MP2020 corrections = -8.18 eV/atom

Lattice parameters (Å, degrees): 8.4090 8.4090 8.4090 90.00 90.00 90.00
Last column: nearest neighbours and their distance in Å.
Sites, in units of the cell vectors:
Sr 0.2500 0.2500 0.2500  12 O 2.96
Sr 0.2500 0.2500 0.7500  4 O 2.57
Sr 0.2500 0.7500 0.2500  4 O 2.57
Sr 0.2500 0.7500 0.7500  4 O 2.57
Sr 0.7500 0.2500 0.2500  4 O 2.57
Sr 0.7500 0.2500 0.7500  4 O 2.57
Sr 0.7500 0.7500 0.2500  4 O 2.57
Sr 0.7500 0.7500 0.7500  12 O 2.96
Gd 0.0000 0.0000 0.0000  6 O 2.27
Gd 0.0000 0.5000 0.5000  6 O 2.27
Gd 0.5000 0.0000 0.5000  6 O 2.27
Gd 0.5000 0.5000 0.0000  6 O 2.27
Sb 0.0000 0.0000 0.5000  6 O 2.01
Sb 0.0000 0.5000 0.0000  6 O 2.01
Sb 0.5000 0.0000 0.0000  6 O 2.01
Sb 0.5000 0.5000 0.5000  6 O 2.01
O 0.0308 0.5374 0.7655  1 Sb 2.01
O 0.0308 0.9626 0.7345  1 Sb 2.01
O 0.0374 0.2345 0.5308  1 Sb 2.01
O 0.0374 0.2655 0.9692  1 Sb 2.01
O 0.2345 0.5308 0.0374  1 Sb 2.01
O 0.2345 0.9692 0.4626  1 Sb 2.01
O 0.2655 0.5308 0.4626  1 Sb 2.01
O 0.2655 0.9692 0.0374  1 Sb 2.01
O 0.4626 0.2345 0.9692  1 Sb 2.01
O 0.4626 0.2655 0.5308  1 Sb 2.01
O 0.4692 0.5374 0.7345  1 Sb 2.01
O 0.4692 0.9626 0.7655  1 Sb 2.01
O 0.5308 0.0374 0.2345  1 Sb 2.01
O 0.5308 0.4626 0.2655  1 Sb 2.01
O 0.5374 0.7345 0.4692  1 Sb 2.01
O 0.5374 0.7655 0.0308  1 Sb 2.01
O 0.7345 0.0308 0.9626  1 Sb 2.01
O 0.7345 0.4692 0.5374  1 Sb 2.01
O 0.7655 0.0308 0.5374  1 Sb 2.01
O 0.7655 0.4692 0.9626  1 Sb 2.01
O 0.9626 0.7345 0.0308  1 Sb 2.01
O 0.9626 0.7655 0.4692  1 Sb 2.01
O 0.9692 0.0374 0.2655  1 Sb 2.01
O 0.9692 0.4626 0.2345  1 Sb 2.01

(2)
A relaxed Na9Mg2Ta4Si6P3O36 crystal, computed with PBE.

Summary:
Energy of formation from the pure elements = -2.958 eV/atom
Density = 3.9 Mg/m³
Total magnetic moment = 0.000 μB/cell
Energy with MP2020 corrections = -7.78 eV/atom
Relative energy among the computed polymorphs = 1.03 eV per formula unit

Lattice parameters (Å, degrees): 15.6877 26.9967 9.0114 90.10 124.80 89.97
Last column: nearest neighbours and their distance in Å.
Sites, in units of the cell vectors:
O 0.9476 0.3119 0.0832  1 P 1.54
Na 0.8184 0.0194 0.7154  4 O 2.34-2.61
P 0.5022 0.4868 0.7433  4 O 1.51-1.59
Na 0.4998 0.6263 0.2689  4 O 2.27-2.43
O 0.4476 0.8119 0.0832  1 P 1.54
O 0.9460 0.6471 0.0771  1 P 1.56
Na 0.6995 0.4748 0.2791  5 O 2.34-2.54
O 0.5302 0.7185 0.0722  1 Si 1.64
O 0.1378 0.1163 0.9103  1 Si 1.69
Si 0.3501 0.3699 0.2467  4 O 1.60-1.70
Ta 0.6044 0.7500 0.5768  6 O 1.96-2.04
Mg 0.8969 0.4161 0.4451  3 O 1.93-2.05
Na 0.2509 0.7521 0.5040  6 O 2.46-2.61
Si 0.9948 0.3210 0.7442  4 O 1.56-1.69
Ta 0.1060 0.9158 0.5669  6 O 1.96-2.05
O 0.0394 0.4476 0.5644  1 Si 1.59
O 0.0464 0.1110 0.5536  1 Si 1.58
Si 0.1452 0.1310 0.7361  4 O 1.58-1.69
O 0.4272 0.7798 0.7709  1 Si 1.65
Ta 0.1044 0.2500 0.5768  6 O 1.96-2.04
P 0.5017 0.1541 0.7478  4 O 1.49-1.58
Ta 0.6060 0.4158 0.5669  6 O 1.96-2.05
O 0.0849 0.2874 0.7437  1 Si 1.68
Ta 0.6057 0.2506 0.0621  5 O 1.90-2.08
O 0.0356 0.5555 0.0737  1 Si 1.65
O 0.9314 0.6175 0.7700  1 P 1.58
O 0.7521 0.4383 0.7319  1 Si 1.64
Ta 0.3911 0.7497 0.9331  6 O 1.91-2.02
Mg 0.3962 0.4170 0.9387  6 O 1.98-2.18
O 0.5416 0.2774 0.5478  1 Si 1.58
O 0.2536 0.2725 0.7451  1 Si 1.68
O 0.8415 0.8889 0.0709  1 Si 1.60
O 0.9358 0.0187 0.5776  1 P 1.51
O 0.3571 0.7247 0.0911  1 Si 1.64
Na 0.9846 0.1963 0.7210  5 O 2.44-2.58
P 0.5010 0.8460 0.2506  4 O 1.51-1.58
Si 0.1435 0.2006 0.2469  4 O 1.58-1.69
O 0.1313 0.7839 0.9058  1 Si 1.70, 1 Ta 1.90
O 0.9609 0.4418 0.9262  1 Si 1.66
Na 0.2458 0.0813 0.5016  6 O 2.42-2.69
O 0.6440 0.9527 0.9227  1 Si 1.72
O 0.4606 0.6062 0.9378  1 Si 1.69
O 0.3612 0.6210 0.5870  1 Si 1.58
O 0.4460 0.1471 0.0771  1 P 1.56
Na 0.8150 0.6950 0.6836  6 O 2.42-2.66
O 0.5892 0.5438 0.2479  1 P 1.58
O 0.4609 0.9418 0.9262  1 Si 1.66
O 0.9622 0.5578 0.4383  1 Si 1.67
O 0.4358 0.5187 0.5776  1 P 1.51
O 0.9414 0.9821 0.0727  1 P 1.51
O 0.6444 0.3597 0.7369  1 Si 1.68
O 0.8612 0.1210 0.5870  1 Si 1.58
O 0.0416 0.7774 0.5478  1 Si 1.58
O 0.3465 0.6906 0.7749  1 Si 1.65
O 0.5849 0.7874 0.7437  1 Si 1.68
Ta 0.6061 0.0842 0.5675  6 O 1.93-2.09
Ta 0.3962 0.0825 0.9405  5 O 1.88-2.02
O 0.2565 0.1150 0.7684  1 Si 1.65
O 0.2521 0.9383 0.7319  1 Si 1.64
O 0.4314 0.1175 0.7700  1 P 1.58
O 0.9272 0.2798 0.7709  1 Si 1.65
Na 0.5021 0.9574 0.2792  4 O 2.30-2.39
O 0.8495 0.1444 0.2500  1 Si 1.59
O 0.5846 0.4548 0.7386  1 P 1.58
O 0.6384 0.9730 0.2417  1 Si 1.66
Ta 0.1057 0.7506 0.0621  5 O 1.90-2.08
Mg 0.3965 0.2485 0.4355  6 O 2.01-2.18
O 0.8577 0.5578 0.0888  1 Si 1.66
Ta 0.6056 0.5844 0.0600  5 O 1.90-2.02
O 0.0302 0.2185 0.0722  1 Si 1.64
P 0.0010 0.3460 0.2506  4 O 1.51-1.58
O 0.2375 0.2256 0.2550  1 Si 1.58
Si 0.8532 0.7986 0.7524  4 O 1.60-1.70
O 0.9235 0.7133 0.2479  1 P 1.51
O 0.1355 0.8806 0.4069  1 P 1.60
Na 0.2562 0.2454 0.0252  4 O 2.31-2.51
Si 0.3532 0.2986 0.7524  4 O 1.60-1.70
O 0.0837 0.7127 0.2456  1 P 1.56
O 0.5356 0.0555 0.0737  1 Si 1.65
O 0.6313 0.2839 0.9058  1 Si 1.70, 1 Ta 1.90
O 0.5837 0.2127 0.2456  1 P 1.56
O 0.0823 0.6219 0.7435  1 P 1.55
O 0.1406 0.2139 0.4268  1 Si 1.69
Si 0.6477 0.0344 0.2474  4 O 1.59-1.69
O 0.9611 0.7741 0.9391  1 Si 1.70
Na 0.9847 0.5258 0.7132  4 O 2.39-2.52
Na 0.7458 0.5813 0.5016  6 O 2.42-2.69
O 0.8512 0.7803 0.5819  1 Si 1.60
O 0.5659 0.8123 0.4232  1 P 1.58
O 0.7502 0.2782 0.7712  1 Si 1.64
Na 0.7491 0.0910 0.0175  3 O 2.27-2.50
O 0.8502 0.4616 0.5677  1 Si 1.59
O 0.6355 0.3806 0.4069  1 P 1.60
Si 0.8524 0.2034 0.2571  4 O 1.59-1.68
O 0.7512 0.2299 0.2372  1 Si 1.65
O 0.4245 0.8800 0.2498  1 P 1.51
P 0.0017 0.6806 0.2481  4 O 1.51-1.57
O 0.2334 0.8910 0.2582  1 P 1.52
Ta 0.6045 0.9172 0.0609  5 O 1.92-2.05
O 0.0852 0.3773 0.2485  1 P 1.58
Ta 0.1045 0.4172 0.0609  5 O 1.92-2.05
O 0.7519 0.5604 0.2403  1 Si 1.65
Si 0.3530 0.0358 0.2555  4 O 1.60-1.67
Si 0.1477 0.5344 0.2474  4 O 1.59-1.69
Na 0.3150 0.1950 0.6836  6 O 2.42-2.66
Na 0.3184 0.5194 0.7154  4 O 2.34-2.61
O 0.1499 0.1928 0.7471  1 Si 1.67
O 0.8429 0.4767 0.2423  1 Si 1.60
O 0.9606 0.1062 0.9378  1 Si 1.69
O 0.0650 0.6875 0.9213  1 P 1.57
O 0.2477 0.4486 0.7542  1 Si 1.61
O 0.1430 0.1388 0.2390  1 Si 1.67
P 0.5017 0.1806 0.2481  4 O 1.51-1.57
P 0.0022 0.9868 0.7433  4 O 1.51-1.59
O 0.9612 0.2254 0.4438  1 Si 1.68
O 0.4307 0.1841 0.5821  1 P 1.49
O 0.9615 0.8928 0.4308  1 Si 1.70
O 0.5712 0.8557 0.9313  1 Si 1.69
O 0.1444 0.8597 0.7369  1 Si 1.68
Na 0.4847 0.0258 0.7132  4 O 2.39-2.52
Ta 0.1056 0.0844 0.0600  5 O 1.90-2.02
O 0.0391 0.8826 0.0661  1 P 1.52
O 0.3577 0.0578 0.0888  1 Si 1.66
O 0.6462 0.3082 0.2455  1 P 1.59
Na 0.7089 0.8093 0.2971  5 O 2.32-2.58
Si 0.8530 0.5358 0.2555  4 O 1.60-1.67
Si 0.6398 0.2976 0.7310  4 O 1.58-1.70
O 0.1384 0.4730 0.2417  1 Si 1.66
Ta 0.8962 0.5825 0.9405  5 O 1.88-2.02
O 0.5464 0.6110 0.5536  1 Si 1.58
P 0.6401 0.3669 0.2387  4 O 1.52-1.60
O 0.8487 0.5250 0.7794  1 Si 1.69
Si 0.6452 0.6310 0.7361  4 O 1.58-1.69
Si 0.6435 0.7006 0.2469  4 O 1.58-1.69
Na 0.2572 0.4164 0.5202  6 O 2.36-2.62
O 0.7477 0.9486 0.7542  1 Si 1.61
O 0.5394 0.9476 0.5644  1 Si 1.59
O 0.0659 0.3123 0.4232  1 P 1.58
O 0.7565 0.6150 0.7684  1 Si 1.65
O 0.7334 0.3910 0.2582  1 P 1.52
O 0.9329 0.9509 0.7621  1 P 1.54
O 0.0846 0.9548 0.7386  1 P 1.58
Mg 0.3969 0.9161 0.4451  3 O 1.93-2.05
O 0.6444 0.0495 0.4258  1 Si 1.69
O 0.3495 0.6444 0.2500  1 Si 1.59
O 0.4329 0.4509 0.7621  1 P 1.54
Si 0.3524 0.7034 0.2571  4 O 1.59-1.68
Mg 0.8965 0.7485 0.4355  6 O 2.01-2.18
Si 0.4948 0.8210 0.7442  4 O 1.56-1.69
O 0.4235 0.2132 0.2479  1 P 1.51
O 0.5391 0.3826 0.0661  1 P 1.52
O 0.1465 0.5295 0.7442  1 Si 1.69
Na 0.8157 0.9806 0.2079  4 O 2.34-2.56
O 0.1444 0.5495 0.4258  1 Si 1.69
Na 0.4896 0.3691 0.7437  5 O 2.39-2.67
Na 0.4846 0.6963 0.7210  5 O 2.44-2.58
O 0.8427 0.8579 0.7566  1 Si 1.61
P 0.5025 0.5125 0.2435  4 O 1.51-1.58
O 0.1440 0.4527 0.9227  1 Si 1.72
O 0.4615 0.3928 0.4308  1 Si 1.70
O 0.9245 0.3800 0.2498  1 P 1.51
O 0.7458 0.0515 0.2507  1 Si 1.59
O 0.0618 0.6452 0.4161  1 P 1.57
O 0.8465 0.1906 0.7749  1 Si 1.65
O 0.5670 0.4772 0.4133  1 P 1.58
Na 0.7589 0.4131 0.0190  5 O 2.39-2.62
P 0.0025 0.0125 0.2435  4 O 1.51-1.58
P 0.1401 0.8669 0.2387  4 O 1.52-1.60
O 0.0892 0.0438 0.2479  1 P 1.58
O 0.3415 0.3889 0.0709  1 Si 1.60
O 0.7542 0.8973 0.2504  1 Si 1.69
O 0.3417 0.3107 0.2545  1 Si 1.61
Ta 0.1061 0.5842 0.5675  6 O 1.93-2.09
O 0.5674 0.5203 0.9198  1 P 1.59
Mg 0.3950 0.5855 0.4342  6 O 1.98-2.21
P 0.0017 0.6541 0.7478  4 O 1.49-1.58
O 0.6430 0.6388 0.2390  1 Si 1.67
O 0.2519 0.0604 0.2403  1 Si 1.65
O 0.3512 0.2803 0.5819  1 Si 1.60
Na 0.2491 0.5910 0.0175  3 O 2.27-2.50
O 0.2458 0.5515 0.2507  1 Si 1.59
Si 0.3534 0.6305 0.7518  4 O 1.58-1.69
Na 0.9998 0.1263 0.2689  4 O 2.27-2.43
O 0.8417 0.8107 0.2545  1 Si 1.61
O 0.0670 0.9772 0.4133  1 P 1.58
O 0.5650 0.1875 0.9213  1 P 1.57
Na 0.2589 0.9131 0.0190  5 O 2.39-2.62
O 0.5823 0.1219 0.7435  1 P 1.55
Na 0.7019 0.8589 0.7911  5 O 2.35-2.60
Na 0.7562 0.7454 0.0252  4 O 2.31-2.51
O 0.4622 0.0578 0.4383  1 Si 1.67
O 0.5852 0.8773 0.2485  1 P 1.58
O 0.0674 0.0203 0.9198  1 P 1.59
Na 0.7572 0.9164 0.5202  6 O 2.36-2.62
Si 0.8534 0.1305 0.7518  4 O 1.58-1.69
Na 0.7509 0.2521 0.5040  6 O 2.46-2.61
Na 0.1995 0.9748 0.2791  5 O 2.34-2.54
O 0.6465 0.0295 0.7442  1 Si 1.69
Na 0.3157 0.4806 0.2079  4 O 2.34-2.56
Na 0.2089 0.3093 0.2971  5 O 2.32-2.58
O 0.4611 0.2741 0.9391  1 Si 1.70
O 0.5618 0.1452 0.4161  1 P 1.57
O 0.2512 0.7299 0.2372  1 Si 1.65
O 0.9284 0.3539 0.5724  1 Si 1.56
O 0.7375 0.7256 0.2550  1 Si 1.58
Mg 0.8950 0.0855 0.4342  6 O 1.98-2.21
Si 0.1455 0.4669 0.7383  4 O 1.59-1.72
O 0.3487 0.0250 0.7794  1 Si 1.69
Na 0.4907 0.2949 0.2560  4 O 2.32-2.52
O 0.6378 0.6163 0.9103  1 Si 1.69
O 0.2537 0.6047 0.7391  1 Si 1.65
Mg 0.8962 0.9170 0.9387  6 O 1.98-2.18
Na 0.9907 0.7949 0.2560  4 O 2.32-2.52
Si 0.3510 0.9637 0.7455  4 O 1.59-1.69
Si 0.8501 0.8699 0.2467  4 O 1.60-1.70
Na 0.0021 0.4574 0.2792  4 O 2.30-2.39
Si 0.8510 0.4637 0.7455  4 O 1.59-1.69
O 0.9307 0.6841 0.5821  1 P 1.49
O 0.0712 0.3557 0.9313  1 Si 1.69
O 0.2502 0.7782 0.7712  1 Si 1.64
O 0.4414 0.4821 0.0727  1 P 1.51
Si 0.6455 0.9669 0.7383  4 O 1.59-1.72
Si 0.1398 0.7976 0.7310  4 O 1.58-1.70
O 0.2542 0.3973 0.2504  1 Si 1.69
O 0.6499 0.6928 0.7471  1 Si 1.67
O 0.8571 0.2247 0.0911  1 Si 1.64
O 0.1462 0.8082 0.2455  1 P 1.59
Na 0.2019 0.3589 0.7911  5 O 2.35-2.60
Na 0.9896 0.8691 0.7437  5 O 2.39-2.67
O 0.4300 0.5468 0.2583  1 P 1.53
O 0.3429 0.9767 0.2423  1 Si 1.60
O 0.4612 0.7254 0.4438  1 Si 1.68
O 0.4284 0.8539 0.5724  1 Si 1.56
O 0.9300 0.0468 0.2583  1 P 1.53
O 0.7537 0.1047 0.7391  1 Si 1.65
O 0.3427 0.3579 0.7566  1 Si 1.61
O 0.7536 0.7725 0.7451  1 Si 1.68
Ta 0.8911 0.2497 0.9331  6 O 1.91-2.02
O 0.6406 0.7139 0.4268  1 Si 1.69
O 0.3502 0.9616 0.5677  1 Si 1.59

(3)
A relaxed CeGa3Pd2 crystal, computed with PBE.

Summary:
Space-group type = P6/mmm
Energy of formation from the pure elements = -0.727 eV/atom
Density = 8.6 Mg/m³

Lattice parameters (Å, degrees): 5.3996 5.3996 4.3196 90.00 90.00 120.00
Last column: nearest neighbours and their distance in Å.
Sites, in units of the cell vectors:
Ce 0.0000 0.0000 0.0000  6 Pd 3.12, 12 Ga 3.46
Ga 0.0000 0.5000 0.5000  4 Pd 2.66, 4 Ga 2.70
Ga 0.5000 0.0000 0.5000  4 Pd 2.66, 4 Ga 2.70
Ga 0.5000 0.5000 0.5000  4 Pd 2.66, 4 Ga 2.70
Pd 0.3333 0.6667 0.0000  6 Ga 2.66
Pd 0.6667 0.3333 0.0000  6 Ga 2.66

(4)
A relaxed SrCd2Pd crystal, computed with PBE.

Summary:
Space-group type = Cmcm
Energy of formation from the pure elements = -0.489 eV/atom
Density = 6.9 Mg/m³

Lattice parameters (Å, degrees): 4.5393 10.7106 8.2380 90.00 90.00 90.00
Last column: nearest neighbours and their distance in Å.
Sites, in units of the cell vectors:
Sr 0.0000 0.0631 0.2500  3 Pd 3.06-3.23
Sr 0.0000 0.9369 0.7500  3 Pd 3.06-3.23
Sr 0.5000 0.4369 0.7500  3 Pd 3.06-3.23
Sr 0.5000 0.5631 0.2500  3 Pd 3.06-3.23
Cd 0.0000 0.3503 0.0548  3 Pd 2.86-2.89
Cd 0.0000 0.3503 0.4452  3 Pd 2.86-2.89
Cd 0.0000 0.6497 0.5548  3 Pd 2.86-2.89
Cd 0.0000 0.6497 0.9452  3 Pd 2.86-2.89
Cd 0.5000 0.1497 0.5548  3 Pd 2.86-2.89
Cd 0.5000 0.1497 0.9452  3 Pd 2.86-2.89
Cd 0.5000 0.8503 0.0548  3 Pd 2.86-2.89
Cd 0.5000 0.8503 0.4452  3 Pd 2.86-2.89
Pd 0.0000 0.2222 0.7500  6 Cd 2.86-2.89, 1 Sr 3.06
Pd 0.0000 0.7778 0.2500  6 Cd 2.86-2.89, 1 Sr 3.06
Pd 0.5000 0.2778 0.2500  6 Cd 2.86-2.89, 1 Sr 3.06
Pd 0.5000 0.7222 0.7500  6 Cd 2.86-2.89, 1 Sr 3.06

(5)
A relaxed BaAl3P2O14 crystal, computed with PBE.

Summary:
Space-group type = Cm
Energy of formation from the pure elements = -2.375 eV/atom
Density = 3.1 Mg/m³
Total magnetic moment = 6.999 μB/cell
Energy with MP2020 corrections = -7.04 eV/atom

Lattice parameters (Å, degrees): 7.0453 7.0453 7.4789 118.94 118.94 59.95
Last column: nearest neighbours and their distance in Å.
Sites, in units of the cell vectors:
Ba 0.0000 0.0000 0.0000  12 O 2.85-3.01
Al 0.0013 0.4987 0.5028  6 O 1.85-1.98
Al 0.4987 0.0013 0.5028  6 O 1.85-1.98
Al 0.9945 0.9945 0.4925  5 O 1.85-1.96
P 0.3022 0.3022 0.8958  4 O 1.54-1.55
P 0.6978 0.6978 0.1070  4 O 1.53-1.56
O 0.0850 0.7467 0.5784  2 Al 1.86
O 0.1504 0.5093 0.8059  1 P 1.55
O 0.1542 0.1542 0.8155  1 P 1.55
O 0.2493 0.2493 0.4218  2 Al 1.85
O 0.2533 0.9131 0.4274  2 Al 1.85-1.87
O 0.3884 0.3884 0.1442  1 P 1.54
O 0.4912 0.8536 0.1976  1 P 1.55
O 0.5093 0.1504 0.8059  1 P 1.55
O 0.6040 0.6040 0.8616  1 P 1.53
O 0.7452 0.7452 0.5745  2 Al 1.86
O 0.7467 0.0850 0.5784  2 Al 1.86
O 0.8466 0.8466 0.1884  1 P 1.56
O 0.8536 0.4912 0.1976  1 P 1.55
O 0.9131 0.2533 0.4274  2 Al 1.85-1.87

(6)
A relaxed Mg6Si5 crystal, computed with PBE.

Summary:
Space-group type = P1
Energy of formation from the pure elements = 0.050 eV/atom
Density = 2.3 Mg/m³
Total magnetic moment = 0.000 μB/cell
Energy with MP2020 corrections = -3.29 eV/atom
Relative energy among the computed polymorphs = 0.19 eV per formula unit

Lattice parameters (Å, degrees): 4.1927 7.0755 14.3378 98.00 90.08 90.48
Last column: nearest neighbours and their distance in Å.
Sites, in units of the cell vectors:
Mg 0.0000 0.0000 0.0000  7 Si 2.92-2.99, 2 Mg 3.23-3.24
Mg 0.0007 0.8915 0.6581  5 Si 2.81-3.04
Mg 0.0046 0.5040 0.0715  3 Si 2.67-2.95
Mg 0.0108 0.2005 0.2365  4 Si 2.78-2.98, 3 Mg 3.01-3.11
Mg 0.4911 0.2754 0.7208  4 Si 2.65-2.77
Mg 0.4930 0.6764 0.4927  6 Si 2.78-3.02
Mg 0.4957 0.9163 0.8275  4 Si 2.67-2.77
Mg 0.4972 0.3246 0.9347  4 Si 2.68-2.75
Mg 0.5018 0.5173 0.2615  3 Si 2.72-2.74, 1 Mg 3.01
Mg 0.5230 0.9536 0.3313  8 Si 2.71-2.94
Mg 0.9810 0.4267 0.5835  4 Si 2.74-2.96
Mg 0.9927 0.5820 0.8310  5 Si 2.90-3.05, 2 Mg 3.16-3.17
Si 0.0015 0.6882 0.3622  2 Si 2.45-2.48, 2 Mg 2.72-2.74
Si 0.0039 0.8037 0.2067  3 Si 2.48-2.52, 1 Mg 2.67
Si 0.0325 0.9918 0.4675  4 Si 2.44-2.56
Si 0.3193 0.2893 0.4251  2 Si 2.51-2.56, 2 Mg 2.71-2.74
Si 0.4922 0.7079 0.9701  1 Si 2.43, 2 Mg 2.68-2.69
Si 0.4930 0.6347 0.6824  7 Mg 2.67-2.85
Si 0.5030 0.8926 0.1265  4 Si 2.43-2.52
Si 0.5044 0.2352 0.1104  1 Si 2.47, 2 Mg 2.68-2.73
Si 0.5365 0.0983 0.5459  3 Si 2.44-2.51, 1 Mg 2.65
Si 0.9974 0.1715 0.8264  9 Mg 2.72-2.92